This record from Materials Project describes an optimized crystal structure of CrReO4. The functional is PBE with a Hubbard U.

Structure (extended XYZ):
```
24
Lattice="0.622 2.421 -6.051 3.666 -5.488 -1.819 -2.736 -4.266 -5.529" Properties=species:S:1:pos:R:3 pbc="T T T"
O -2.285 -2.548 -9.804
O -0.399 -5.084 -11.233
Re 1.758 -4.484 -8.696
Re -2.624 -4.203 -5.493
O -0.725 -4.763 -5.522
Re -0.386 -2.950 -4.762
Cr 1.235 -1.006 -7.359
O 0.090 0.712 -6.789
O 1.363 -7.888 -6.557
O 1.612 -3.243 -4.673
O 1.419 -6.296 -9.457
O 0.240 -1.188 -3.992
Re -0.480 -5.737 -9.428
Cr -1.214 -2.376 -8.159
O 1.386 -6.154 -4.405
O 1.641 -5.159 -6.893
Cr 2.758 -4.962 -5.242
O -0.763 -6.502 -7.687
O -0.159 -3.934 -8.674
O -2.542 -3.550 -7.298
O 0.120 -1.205 -9.010
Cr 0.308 -6.331 -6.042
O -0.136 -2.200 -6.521
O 2.383 -2.722 -7.928
```

Calculated values
- Total energy after the MP2020 corrections: -54.65 eV per formula unit
- Electronic total energy: -8.317 eV/atom
- Formation enthalpy at 0 K: -205.2 kJ per mole of atoms
- Distance to the lowest polymorph of the same formula: 0.0210 eV per atom

This record from Materials Project describes an optimized crystal structure of Mg2Fe3O8. The functional is PBE with a Hubbard U.

Structure (extended XYZ):
```
13
Lattice="2.900 5.156 0.000 -2.900 5.156 0.000 0.000 1.748 4.608" Properties=species:S:1:pos:R:3 pbc="T T T"
Fe -1.401 5.156 0.000
Mg 0.000 4.012 3.043
O 0.000 1.240 0.341
O -1.564 4.664 1.824
O 1.564 4.664 1.824
Fe 0.000 0.874 2.304
O 0.000 10.821 4.267
O 0.000 6.369 0.303
O 1.564 7.397 2.784
Fe 1.401 5.156 0.000
O -1.564 7.397 2.784
O 0.000 5.692 4.305
Mg 0.000 8.049 1.565
```

Calculated values
- Total energy after the MP2020 corrections: -91.75 eV per formula unit
- Electronic total energy: -6.115 eV/atom
- Formation enthalpy at 0 K: -174.9 kJ per mole of atoms
- Distance to the lowest polymorph of the same formula: 0.0085 eV per atom
- Space-group type: C2/m

This record from Materials Project describes an optimized crystal structure of Li3TiMn4O8. The functional is PBE with a Hubbard U.

Structure (extended XYZ):
```
16
Lattice="0.003 3.217 -5.260 1.776 -2.688 -5.261 -5.287 1.639 -2.609" Properties=species:S:1:pos:R:3 pbc="T T T"
O -2.706 2.410 -11.134
O -3.621 2.134 -6.061
Li -2.642 2.428 -3.935
Li -2.643 0.820 -1.305
O -3.553 3.663 -8.455
O -0.802 -0.241 -1.996
Mn 0.001 1.608 -2.630
Ti 0.889 0.265 -5.261
O -2.723 0.895 -8.457
Mn -4.399 0.296 -5.240
O 0.044 -1.495 -4.675
Li -1.754 1.084 -6.565
O -0.786 1.274 -4.674
O 0.113 0.034 -7.069
Mn -1.753 2.692 -9.195
Mn 1.778 0.529 -10.521
```

Calculated values
- Total energy after the MP2020 corrections: -127.27 eV per formula unit
- Electronic total energy: -7.194 eV/atom
- Formation enthalpy at 0 K: -225.6 kJ per mole of atoms
- Distance to the lowest polymorph of the same formula: 0.0102 eV per atom
- Space-group type: C2/m

This record from Materials Project describes an optimized crystal structure of NiAs2O4. The functional is PBE with a Hubbard U.

Structure (extended XYZ):
```
28
Lattice="8.339 0.000 0.000 0.000 8.339 0.000 0.000 0.000 5.756" Properties=species:S:1:pos:R:3 pbc="T T T"
As 6.799 1.427 2.878
O 7.198 5.059 0.000
O 1.141 3.280 0.000
As 2.743 5.709 0.000
As 1.427 1.540 0.000
As 6.912 6.799 0.000
O 0.890 3.029 2.878
O 3.280 7.198 2.878
O 2.654 1.515 1.439
O 6.824 2.654 4.317
O 7.450 5.310 2.878
O 1.515 5.685 4.317
O 2.654 1.515 4.317
O 5.685 6.824 4.317
O 3.029 7.450 0.000
Ni 4.170 0.000 4.317
O 1.515 5.685 1.439
O 6.824 2.654 1.439
O 5.059 1.141 2.878
Ni 0.000 4.170 1.439
As 2.630 2.743 2.878
As 1.540 6.912 2.878
As 5.596 2.630 0.000
Ni 0.000 4.170 4.317
O 5.310 0.890 0.000
Ni 4.170 0.000 1.439
As 5.709 5.596 2.878
O 5.685 6.824 1.439
```

Calculated values
- Total energy after the MP2020 corrections: -45.67 eV per formula unit
- Electronic total energy: -5.769 eV/atom
- Formation enthalpy at 0 K: -148.6 kJ per mole of atoms
- Space-group type: P4_2/mbc

This record from Materials Project describes an optimized crystal structure of Li17Fe6Si12O42. The functional is PBE with a Hubbard U.

Structure (extended XYZ):
```
77
Lattice="8.612 0.000 0.000 -4.300 7.485 0.000 -0.034 -0.127 13.133" Properties=species:S:1:pos:R:3 pbc="T T T"
O 4.528 0.882 4.754
Li 1.224 2.394 11.822
Li -0.019 -0.097 12.394
Li 2.662 0.195 0.895
O 1.454 4.218 11.276
Si 1.369 7.225 4.535
Si 2.895 0.073 11.133
O 2.830 3.172 1.396
Fe 4.299 7.455 2.942
O 2.956 1.484 7.238
O 7.106 0.435 1.685
Li 1.508 7.193 11.840
Si -2.694 4.945 4.533
Li -2.803 5.032 11.839
O -1.634 5.662 0.480
O 4.024 4.134 12.255
Si 2.917 0.131 8.151
O 0.219 3.251 0.449
O -2.840 6.895 8.220
Si 1.319 7.226 1.614
O -1.291 3.968 8.023
O -0.178 6.556 7.887
O -2.885 6.846 11.055
O -1.840 5.116 3.095
O 3.528 4.132 9.639
O 5.928 1.695 12.257
O 2.857 1.273 12.264
O 2.811 3.060 4.736
Li -2.787 5.110 7.424
Fe 4.303 2.490 0.150
O 3.072 6.398 8.307
O 7.147 0.431 4.453
O 1.084 1.079 1.606
O -1.340 3.909 11.299
Li 0.017 4.756 9.585
Si 1.273 2.714 1.601
O 5.631 3.420 1.383
Li 3.150 5.045 0.883
O 1.060 6.467 3.071
O -0.196 6.483 11.343
Li 4.247 2.375 9.362
O 5.524 3.372 4.692
O -0.278 1.491 8.296
O -0.304 1.407 11.065
Li 3.089 4.915 5.262
Li 7.019 2.239 5.262
O 1.097 0.977 4.317
Si 6.979 2.387 8.193
O 1.442 4.286 7.961
O 1.366 5.987 5.604
Si 2.992 4.733 11.114
O 4.669 5.944 1.692
Li 1.201 2.421 7.443
O 3.122 6.371 11.086
O 5.953 1.804 7.059
Si 2.980 4.781 8.174
O -1.651 5.413 5.690
Fe -0.032 4.872 12.554
O 4.019 4.207 7.049
O 4.442 0.857 1.395
O 0.238 3.135 5.646
Si 1.280 2.578 4.507
O 1.408 6.046 0.468
Fe -0.032 4.933 6.720
O 3.202 0.816 9.677
Li 1.578 7.255 7.407
Li 4.292 2.401 3.186
O 4.598 5.893 4.448
Fe 4.248 2.390 6.019
Li -0.016 4.980 3.615
Si -2.608 4.994 1.617
Li -4.072 7.414 5.735
O 6.143 2.185 9.648
Fe -0.015 -0.089 9.560
O 0.744 3.299 3.076
Si 6.939 2.324 11.119
Li 7.091 2.204 0.882
```

Calculated values
- Total energy after the MP2020 corrections: -558.26 eV per formula unit
- Electronic total energy: -6.700 eV/atom
- Formation enthalpy at 0 K: -253.2 kJ per mole of atoms
- Space-group type: P1

This record from Materials Project describes an optimized crystal structure of Li4FeTeW2O12. The functional is PBE with a Hubbard U.

Structure (extended XYZ):
```
20
Lattice="-1.933 -4.836 0.063 5.003 -2.001 1.071 -0.822 0.409 7.533" Properties=species:S:1:pos:R:3 pbc="T T T"
O 2.600 -2.661 7.930
O 2.596 -1.963 4.962
O 2.650 -5.923 6.655
Li -1.355 -2.218 6.161
O 0.624 -3.743 6.231
Li 2.237 -0.861 6.687
Li 0.797 -5.900 2.702
Te 1.144 -3.236 4.390
O -0.397 -3.640 0.612
W -0.382 0.169 3.793
W 1.545 -3.402 0.597
O 4.445 -2.404 3.001
O 2.378 -4.794 4.126
Li 3.853 -4.283 2.856
Fe -1.859 -4.862 0.097
O 1.533 -2.669 2.404
O 0.367 -1.231 7.365
O -0.248 -1.643 4.442
O -0.406 -4.468 3.636
O 1.836 -5.200 1.168
```

Calculated values
- Total energy after the MP2020 corrections: -145.69 eV per formula unit
- Electronic total energy: -6.316 eV/atom
- Formation enthalpy at 0 K: -198.5 kJ per mole of atoms
- Distance to the lowest polymorph of the same formula: 0.0173 eV per atom
- Space-group type: P1

This record from Materials Project describes an optimized crystal structure of V4O5F7. The functional is PBE with a Hubbard U.

Structure (extended XYZ):
```
16
Lattice="4.359 -0.618 -2.844 -0.212 0.804 -5.328 0.375 9.069 -1.343" Properties=species:S:1:pos:R:3 pbc="T T T"
F 2.431 3.640 -6.079
O 0.341 8.535 -5.404
F 0.585 7.791 -2.736
F 3.999 5.392 -7.287
O 1.832 6.335 -5.975
F 2.193 5.697 -3.371
F 3.816 1.494 -6.869
V 3.233 2.229 -4.964
O 2.763 2.926 -3.514
V 2.227 4.206 -2.093
F 4.113 0.663 -4.267
O 0.598 3.790 -2.204
V 0.336 9.775 -6.551
V 1.315 7.043 -4.541
F 2.828 8.209 -4.242
O 1.577 1.155 -5.281
```

Calculated values
- Total energy after the MP2020 corrections: -118.62 eV per formula unit
- Electronic total energy: -6.572 eV/atom
- Formation enthalpy at 0 K: -266.2 kJ per mole of atoms
- Distance to the lowest polymorph of the same formula: 0.0040 eV per atom
- Space-group type: P1

This record from Materials Project describes an optimized crystal structure of LiV2P4H2O16. The functional is PBE with a Hubbard U.

Structure (extended XYZ):
```
50
Lattice="4.901 -7.927 -0.004 4.852 7.899 0.011 3.017 -0.002 7.136" Properties=species:S:1:pos:R:3 pbc="T T T"
O 6.465 5.212 6.162
O 5.983 -5.319 5.810
O 6.238 2.617 0.990
O 9.355 1.328 2.294
O 3.418 -1.378 4.903
P 7.778 -2.742 5.267
Li 3.754 -2.915 2.480
P 1.403 -1.155 1.622
O 5.293 3.512 3.194
P 5.023 2.731 1.917
H 6.555 -3.900 3.667
O 7.359 -0.488 2.492
O 3.906 3.506 1.067
O 7.447 4.389 3.963
O 8.798 4.350 6.088
O 8.878 -3.553 6.021
O 6.272 -5.254 0.972
O 2.894 1.380 4.595
O 8.332 -1.366 4.830
O 9.891 -1.275 2.593
P 6.518 -6.715 5.475
O 5.901 2.571 5.816
H 7.767 0.055 7.052
O 5.325 -4.327 3.147
O 4.440 1.359 2.248
O 10.307 0.426 4.625
O 5.952 -0.453 0.354
O 1.042 -0.417 0.375
H 6.486 4.008 3.652
P 6.260 -1.165 1.627
O 11.654 0.396 6.761
V 3.937 -0.002 3.572
O 6.834 5.333 1.377
P 6.509 1.180 5.467
O 2.481 -0.430 2.508
O 3.926 -4.381 1.115
O 5.026 -1.404 2.549
O 7.762 1.266 4.548
Li 4.172 2.914 4.662
V 10.289 3.921 7.109
O 6.810 0.440 6.765
V 7.357 -3.946 0.107
P 5.019 -5.155 1.919
V 8.856 -0.035 3.554
O 6.536 -2.607 6.150
H 12.618 0.022 7.061
O 5.412 0.441 4.637
P 7.744 5.146 5.288
O 6.828 -2.617 1.242
O 7.522 -3.583 3.983
```

Calculated values
- Total energy after the MP2020 corrections: -187.65 eV per formula unit
- Electronic total energy: -6.930 eV/atom
- Formation enthalpy at 0 K: -231.4 kJ per mole of atoms
- Distance to the lowest polymorph of the same formula: 0.0045 eV per atom
- Space-group type: P1

This record from Materials Project describes an optimized crystal structure of CrO2. The functional is PBE with a Hubbard U.

Structure (extended XYZ):
```
24
Lattice="-2.307 1.874 0.399 0.966 -0.641 8.603 6.545 8.086 -0.133" Properties=species:S:1:pos:R:3 pbc="T T T"
O 3.900 7.392 4.741
Cr 3.465 5.308 0.744
O 1.295 3.856 6.285
O 3.909 5.463 2.584
Cr -0.641 1.989 3.862
O -0.611 2.419 2.012
O 3.659 4.070 7.681
Cr 2.723 6.095 4.026
O 5.596 7.951 0.651
Cr 2.481 3.224 4.843
O 1.502 4.625 3.868
O -1.036 1.142 5.551
O 3.702 4.694 5.001
O 2.995 7.191 0.448
Cr 5.845 7.330 5.007
O 2.209 2.129 8.420
O 5.815 6.900 6.857
Cr 4.973 7.957 8.291
O 6.240 8.177 3.318
O 1.304 1.927 4.128
O -0.392 1.368 8.218
Cr 0.231 1.362 0.577
Cr 1.739 4.012 8.125
O 1.545 5.249 1.188
```

Calculated values
- Total energy after the MP2020 corrections: -23.44 eV per formula unit
- Electronic total energy: -6.688 eV/atom
- Formation enthalpy at 0 K: -125.1 kJ per mole of atoms
- Space-group type: Pnma

This record from Materials Project describes an optimized crystal structure of KFePbOF6. The functional is PBE with a Hubbard U.

Structure (extended XYZ):
```
40
Lattice="1.893 4.985 6.788 -8.063 3.856 -0.777 -3.648 -5.989 5.407" Properties=species:S:1:pos:R:3 pbc="T T T"
F -2.179 0.776 3.049
F -5.133 -4.930 5.115
Pb -3.167 -0.472 1.192
O -5.006 1.107 5.190
F -0.925 -1.408 1.483
Fe -1.706 1.936 4.569
F -6.017 -2.449 3.697
F -6.761 2.577 2.271
F -3.057 0.275 9.146
K -7.628 5.012 0.906
Fe -8.111 0.916 6.849
Fe -4.474 -3.551 3.878
F -3.243 3.043 4.380
K -8.505 4.511 7.005
O -4.812 1.745 6.228
F -8.797 -0.099 5.297
F -6.574 -0.191 7.038
K -2.190 -2.160 10.512
F -6.028 5.386 5.987
F -6.346 5.179 8.772
F -2.361 0.555 5.805
F -1.803 -1.908 7.581
Pb -6.650 3.323 10.229
F -3.790 -2.535 5.431
F -3.800 5.301 7.721
Pb -4.042 -0.979 7.294
K -1.312 -1.659 4.413
F -9.121 -0.303 8.080
F -3.472 -2.328 2.646
O -3.936 2.246 0.132
Pb -5.773 3.832 4.122
Fe -5.344 6.401 7.540
F -8.015 4.761 3.837
F -7.639 2.076 8.369
F -4.684 7.781 6.303
F -0.697 3.155 3.337
F -7.457 2.297 5.613
F -8.893 4.260 9.935
F -1.020 2.952 6.121
O -5.881 0.606 11.285
```

Calculated values
- Total energy after the MP2020 corrections: -54.62 eV per formula unit
- Electronic total energy: -4.943 eV/atom
- Formation enthalpy at 0 K: -240.1 kJ per mole of atoms
- Distance to the lowest polymorph of the same formula: 0.0000 eV per atom
- Space-group type: P-1

This record from Materials Project describes an optimized crystal structure of VPO5. The functional is PBE with a Hubbard U.

Structure (extended XYZ):
```
14
Lattice="6.246 0.000 0.000 0.000 6.246 0.000 0.000 0.000 4.564" Properties=species:S:1:pos:R:3 pbc="T T T"
V 0.000 3.123 2.790
O 3.229 1.873 1.370
O 4.374 3.229 3.194
O 1.873 3.018 3.194
O 4.996 6.141 1.370
O 6.141 1.250 3.194
V 3.123 0.000 1.774
O 0.000 3.123 1.187
O 1.250 0.105 1.370
P 0.000 0.000 2.282
O 3.018 4.374 1.370
P 3.123 3.123 2.282
O 3.123 0.000 3.377
O 0.105 4.996 3.194
```

Calculated values
- Total energy after the MP2020 corrections: -56.62 eV per formula unit
- Electronic total energy: -7.355 eV/atom
- Formation enthalpy at 0 K: -239.6 kJ per mole of atoms
- Distance to the lowest polymorph of the same formula: 0.0164 eV per atom
- Space-group type: P4/n

This record from Materials Project describes an optimized crystal structure of BaMnO3. The functional is PBE with a Hubbard U.

Structure (extended XYZ):
```
20
Lattice="2.895 2.399 3.195 -1.743 -3.549 4.244 7.555 -6.267 -2.138" Properties=species:S:1:pos:R:3 pbc="T T T"
Mn 7.259 -8.617 3.704
O 1.846 -0.331 0.481
Mn 10.450 -3.868 1.057
O 7.329 -5.993 -0.235
O 3.955 -2.178 3.767
Ba 4.017 -7.128 3.618
O 4.752 -5.239 1.534
Mn 5.801 -2.509 4.248
Ba 1.111 -2.219 2.565
O 6.363 -7.961 2.118
O 8.604 -3.537 0.576
Mn 4.353 -3.709 2.651
O 2.344 0.543 3.183
Ba 4.689 -0.290 1.684
O 1.377 -1.425 5.537
O 3.457 -3.052 1.065
Ba 7.595 -5.198 2.737
O 6.026 -2.784 2.345
O 5.250 -4.365 4.236
O 2.680 -4.634 2.956
```

Calculated values
- Total energy after the MP2020 corrections: -38.34 eV per formula unit
- Electronic total energy: -6.921 eV/atom
- Formation enthalpy at 0 K: -239.5 kJ per mole of atoms